[1]
Here is a geometry-optimized TmCl2 structure from Materials Project. Energies are from PBE-GGA.

abc: 6.2151 12.2179 7.1977
angles: 90.00 90.00 90.00
Space group Pbca (No. 61)
One atom of each set of equivalent atoms:
Tm  0.1809  0.0975  0.0459 x8
Cl  0.0214  0.0436  0.7057 x8
Cl  0.1936  0.7075  0.3744 x8

Summary:
Its calculated formation energy is -6.41 eV per formula unit.

[2]
Here is a geometry-optimized Tm7Cl15 structure from Materials Project. Energies are from PBE-GGA.

abc: 6.6075 45.6860 6.8089
angles: 90.00 90.00 90.00
Space group Pnma (No. 62)
One atom of each set of equivalent atoms:
Tm  0.1333  0.1719  0.0237 x8
Tm  0.1371  0.6076  0.9524 x8
Tm  0.1440  0.0436  0.0348 x8
Tm  0.2432  0.7500  0.9929 x4
Cl  0.0043  0.0740  0.3503 x8
Cl  0.0171  0.6470  0.6540 x8
Cl  0.0467  0.7154  0.7129 x8
Cl  0.1240  0.2500  0.8654 x4
Cl  0.1246  0.1275  0.7878 x8
Cl  0.1526  0.5088  0.8124 x8
Cl  0.1570  0.5599  0.2010 x8
Cl  0.1929  0.6935  0.1606 x8

Summary:
Its calculated formation energy is -48.25 eV per formula unit.